[1]
First-principles (PBE) data for a relaxed HfO2 crystal, as listed in the Materials Project.

Cell and atoms, written as CIF:
```
data_HfO2
_cell_length_a 4.870
_cell_length_b 5.826
_cell_length_c 16.037
_cell_angle_alpha 90.00
_cell_angle_beta 90.00
_cell_angle_gamma 90.00
_symmetry_space_group_name_H-M 'P b c n'
_symmetry_Int_Tables_number 60
loop_
_symmetry_equiv_pos_as_xyz
'x,y,z'
'-x,-y,-z'
'-x+1/2,-y+1/2,z+1/2'
'x+1/2,y+1/2,-z+1/2'
'x+1/2,-y+1/2,-z'
'-x+1/2,y+1/2,z'
'-x,y,-z+1/2'
'x,-y,z+1/2'
loop_
_atom_site_label
_atom_site_type_symbol
_atom_site_fract_x
_atom_site_fract_y
_atom_site_fract_z
Hf1 Hf 0.000 0.022 0.250
Hf2 Hf 0.003 0.347 0.084
O1 O 0.200 0.369 0.531
O2 O 0.207 0.067 0.363
O3 O 0.219 0.309 0.196
```



[2]
First-principles (PBE) data for a relaxed Sm3Ti crystal, as listed in the Materials Project.

Cell and atoms, written as CIF:
```
data_Sm3Ti
_cell_length_a 4.900
_cell_length_b 4.900
_cell_length_c 9.702
_cell_angle_alpha 90.00
_cell_angle_beta 90.00
_cell_angle_gamma 90.00
_symmetry_space_group_name_H-M 'I 4/m m m'
_symmetry_Int_Tables_number 139
_symmetry_space_group_name_Hall '-I 4 2'
loop_
_atom_site_label
_atom_site_type_symbol
_atom_site_fract_x
_atom_site_fract_y
_atom_site_fract_z
Sm1 Sm 0.000 0.000 0.000
Sm2 Sm 0.000 0.500 0.250
Ti1 Ti 0.000 0.000 0.500
```



Result set for ΔE_f: -3.992, 0.239 eV/atom, one per record in the order listed.